Arrangement 1

Entry from the Materials Project database: SbH12C4NF4 after structural relaxation (PBE-GGA).

Cell and atoms, written as extended XYZ:
```
88
Lattice="10.024 0.000 0.000 0.000 5.470 0.000 0.000 0.658 18.463" Properties=species:S:1:pos:R:3 pbc="T T T"
Sb 3.521 3.244 17.035
Sb 1.491 2.914 7.804
Sb 8.533 3.214 10.659
Sb 6.503 2.885 1.428
H 5.776 4.212 7.585
H 2.570 1.647 3.861
H 1.380 0.700 12.428
H 0.221 1.633 17.084
H 3.631 0.371 3.197
H 3.927 5.337 8.411
H 2.849 1.524 2.083
H 3.944 5.725 14.126
H 1.084 5.666 17.643
H 9.623 2.022 14.625
H 8.533 5.209 2.396
H 6.593 2.540 15.745
H 6.096 0.792 10.051
H 2.126 4.106 4.271
H 7.175 4.605 16.379
H 9.999 1.411 3.222
H 5.036 1.741 12.453
H 6.392 5.758 15.266
H 9.803 4.496 1.379
H 5.232 4.826 10.610
H 4.791 1.303 7.853
H 8.956 0.733 13.568
H 8.643 5.429 6.035
H 0.024 4.717 15.241
H 6.080 0.404 4.336
H 5.412 1.693 5.393
H 3.431 3.589 2.717
H 0.764 1.588 1.646
H 9.259 4.541 16.816
H 7.582 4.153 5.371
H 0.401 4.106 3.838
H 7.138 1.694 4.961
H 3.521 0.591 6.835
H 2.163 1.853 11.315
H 1.068 5.396 4.895
H 1.491 0.920 16.067
H 2.442 1.976 13.092
H 7.898 2.023 14.192
H 1.581 3.918 11.949
H 7.860 4.275 7.148
H 2.886 4.435 13.502
H 6.503 5.538 11.628
H 4.988 4.388 6.009
H 8.939 0.463 0.820
H 4.247 1.917 10.878
H 7.454 4.482 14.602
H 8.443 2.211 6.514
H 4.611 4.436 13.070
C 4.607 1.173 11.596
C 5.682 5.770 10.945
C 1.274 4.751 4.007
C 0.670 0.688 16.749
C 3.738 5.080 13.238
C 2.712 0.948 3.007
C 8.750 1.378 14.456
C 7.724 4.851 6.224
C 9.619 5.285 16.098
C 7.312 5.180 15.455
C 6.286 1.049 5.224
C 5.417 4.956 6.867
C 9.353 5.440 1.713
C 4.342 0.359 7.518
C 0.405 0.844 2.365
C 2.300 1.278 12.239
N 8.451 0.598 15.653
N 3.439 5.860 12.041
N 6.584 0.269 6.422
N 1.573 5.531 2.809
F 4.331 3.516 3.003
F 2.419 3.063 15.465
F 0.681 3.845 12.234
F 2.053 3.258 18.295
F 1.231 1.002 8.015
F 7.431 3.395 12.229
F 2.959 2.929 9.064
F 7.971 2.871 0.167
F 8.793 5.127 10.447
F 7.065 3.200 9.399
F 3.781 1.331 17.247
F 2.592 2.734 6.233
F 5.693 2.613 15.460
F 7.604 3.066 2.998
F 6.242 4.798 1.216
F 9.343 2.284 6.229
```

Output
Space group = No. 14
V = 11.504 Å³/atom
Magnetic moment = 0.00 μB/f.u.

Arrangement 2

Entry from the Materials Project database: SbH12C4NF4 after structural relaxation (PBE-GGA).

Cell and atoms, written as extended XYZ:
```
88
Lattice="9.650 0.000 0.000 0.000 5.399 0.000 0.000 0.570 19.615" Properties=species:S:1:pos:R:3 pbc="T T T"
Sb 5.730 3.530 18.042
Sb 8.745 3.245 8.235
Sb 0.905 2.723 11.380
Sb 3.920 2.439 1.573
H 3.422 1.172 8.416
H 7.314 3.903 4.356
H 8.486 5.375 13.924
H 0.063 4.674 18.367
H 5.989 5.090 4.117
H 5.773 0.448 8.658
H 6.437 3.972 2.790
H 5.581 0.452 14.743
H 8.702 0.733 18.465
H 0.571 4.312 15.673
H 0.912 0.759 2.639
H 2.464 5.100 16.996
H 3.877 5.521 10.957
H 7.582 1.378 4.875
H 3.213 1.997 16.825
H 9.194 4.058 2.824
H 5.281 4.343 12.631
H 3.661 0.879 15.499
H 9.588 1.295 1.248
H 4.888 1.580 11.055
H 4.762 4.389 8.560
H 0.756 5.801 14.679
H 1.164 0.594 5.691
H 0.456 1.911 16.792
H 4.069 5.517 4.872
H 4.254 4.027 5.865
H 7.186 0.869 2.619
H 8.247 4.512 1.391
H 1.403 1.457 18.224
H 2.489 1.781 5.451
H 9.079 1.657 3.942
H 2.757 4.306 4.932
H 5.737 4.925 7.169
H 8.038 4.257 12.598
H 8.894 0.167 4.936
H 8.738 5.210 16.977
H 7.161 4.188 14.164
H 2.068 4.591 14.740
H 7.289 1.153 12.427
H 1.612 1.712 7.017
H 6.893 1.663 14.683
H 3.913 1.044 12.446
H 4.369 1.626 6.984
H 0.948 5.236 1.150
H 6.228 4.797 11.199
H 2.336 2.066 15.259
H 2.361 4.815 7.188
H 5.396 1.942 13.750
C 5.668 5.198 12.055
C 4.539 0.701 11.613
C 8.379 0.898 4.301
C 9.364 5.552 17.809
C 6.096 1.183 14.109
C 6.809 4.555 3.636
C 1.271 5.071 15.314
C 1.984 1.129 6.172
C 0.843 1.056 17.367
C 2.841 1.414 15.979
C 3.554 4.786 5.506
C 3.982 0.771 7.560
C 0.286 0.417 1.806
C 5.111 5.268 8.002
C 8.807 4.913 2.248
C 7.666 4.840 13.443
N 1.870 5.794 16.472
N 6.695 0.459 12.951
N 2.955 5.509 6.664
N 7.780 0.175 3.144
F 5.698 1.794 2.622
F 6.578 3.520 16.266
F 8.777 2.079 12.430
F 7.567 3.307 18.847
F 8.504 5.163 8.491
F 1.753 2.734 13.157
F 6.908 3.022 9.039
F 2.083 2.662 0.769
F 1.146 0.806 11.124
F 2.742 2.946 10.576
F 5.971 5.448 18.298
F 7.897 3.235 6.459
F 3.952 4.175 16.993
F 3.072 2.449 3.349
F 3.679 0.521 1.317
F 0.873 3.890 7.186
```

Output
Space group = No. 14
V = 11.614 Å³/atom
Magnetic moment = 0.00 μB/f.u.

Stability ranking, top and bottom: arrangement 2 is the most stable and arrangement 1 is the least stable.